1.
# LiV2OF5 (PBE with a Hubbard U, relaxed)
data_LiV2OF5
_chemical_formula_sum 'Li3 V6 O3 F15'
_space_group_name_H-M_alt 'P 1'
_space_group_IT_number 1
_cell_length_a 4.580
_cell_length_b 8.698
_cell_length_c 8.744
_cell_angle_alpha 60.20
_cell_angle_beta 89.91
_cell_angle_gamma 89.35
loop_
_space_group_symop_operation_xyz
'x,y,z'
loop_
_atom_site_label
_atom_site_type_symbol
_atom_site_fract_x
_atom_site_fract_y
_atom_site_fract_z
_atom_site_occupancy
Li1 Li 0.000 0.000 0.000 1
Li2 Li 0.025 0.333 0.336 1
Li3 Li 0.512 0.664 0.669 1
V1 V 0.001 0.671 0.356 1
V2 V 0.002 0.991 0.672 1
V3 V 0.037 0.357 0.984 1
V4 V 0.501 0.656 0.012 1
V5 V 0.531 0.999 0.327 1
V6 V 0.534 0.304 0.675 1
O1 O 0.282 0.548 0.913 1
O2 O 0.752 0.791 0.428 1
O3 O 0.774 0.105 0.763 1
F1 F 0.251 0.880 0.895 1
F2 F 0.251 0.895 0.223 1
F3 F 0.253 0.561 0.236 1
F4 F 0.257 0.219 0.216 1
F5 F 0.260 0.226 0.878 1
F6 F 0.261 0.209 0.555 1
F7 F 0.279 0.892 0.554 1
F8 F 0.281 0.542 0.560 1
F9 F 0.751 0.770 0.788 1
F10 F 0.762 0.436 0.780 1
F11 F 0.771 0.440 0.455 1
F12 F 0.776 0.765 0.124 1
F13 F 0.781 0.129 0.102 1
F14 F 0.782 0.447 0.118 1
F15 F 0.784 0.107 0.440 1
# Spin magnetization ... 12.00 μB/cell
# Mass density ... 3.622 Mg/m³
# Energy ... -6.184 eV/atom
# Formation energy from the elements ... -27.46 eV/f.u.
# Offset from the most stable computed form ... 0.10 eV per formula unit
# V ... 11.2 Å³/atom

***

2.
# LiV4OF11 (PBE with a Hubbard U, relaxed)
data_LiV4OF11
_chemical_formula_sum 'Li2 V8 O2 F22'
_space_group_name_H-M_alt 'P -1'
_space_group_IT_number 2
_cell_length_a 5.282
_cell_length_b 5.499
_cell_length_c 17.417
_cell_angle_alpha 84.04
_cell_angle_beta 81.53
_cell_angle_gamma 61.33
loop_
_space_group_symop_operation_xyz
'x,y,z'
'-x,-y,-z'
loop_
_atom_site_label
_atom_site_type_symbol
_atom_site_fract_x
_atom_site_fract_y
_atom_site_fract_z
_atom_site_occupancy
Li1 Li 0.125 0.462 0.320 1
V1 V 0.000 0.500 0.500 1
V2 V 0.126 0.631 0.125 1
V3 V 0.267 0.729 0.748 1
V4 V 0.381 0.850 0.372 1
V5 V 0.500 0.000 0.000 1
O1 O 0.445 0.559 0.312 1
F1 F 0.023 0.901 0.662 1
F2 F 0.024 0.525 0.779 1
F3 F 0.037 0.943 0.188 1
F4 F 0.203 0.346 0.597 1
F5 F 0.207 0.317 0.064 1
F6 F 0.218 0.707 0.467 1
F7 F 0.264 0.164 0.911 1
F8 F 0.283 0.194 0.434 1
F9 F 0.287 0.794 0.034 1
F10 F 0.484 0.583 0.842 1
F11 F 0.499 0.939 0.713 1
# Spin magnetization ... 16.00 μB/cell
# Mass density ... 3.298 Mg/m³
# Energy ... -6.150 eV/atom
# Formation energy from the elements ... -52.86 eV/f.u.
# Offset from the most stable computed form ... 0.21 eV per formula unit
# V ... 12.9 Å³/atom

***

3.
# Li3VOF5 (PBE with a Hubbard U, relaxed)
data_Li3VOF5
_chemical_formula_sum 'Li12 V4 O4 F20'
_space_group_name_H-M_alt 'P 1'
_space_group_IT_number 1
_cell_length_a 5.049
_cell_length_b 8.613
_cell_length_c 9.844
_cell_angle_alpha 90.18
_cell_angle_beta 90.17
_cell_angle_gamma 90.12
loop_
_space_group_symop_operation_xyz
'x,y,z'
loop_
_atom_site_label
_atom_site_type_symbol
_atom_site_fract_x
_atom_site_fract_y
_atom_site_fract_z
_atom_site_occupancy
Li1 Li 0.000 0.000 0.000 1
Li2 Li 0.000 0.007 0.538 1
Li3 Li 0.006 0.414 0.497 1
Li4 Li 0.489 0.810 0.519 1
Li5 Li 0.497 0.509 0.743 1
Li6 Li 0.502 0.609 0.019 1
Li7 Li 0.502 0.916 0.786 1
Li8 Li 0.509 0.915 0.242 1
Li9 Li 0.515 0.501 0.282 1
Li10 Li 0.990 0.106 0.263 1
Li11 Li 0.994 0.415 0.043 1
Li12 Li 0.996 0.311 0.766 1
V1 V 0.032 0.719 0.284 1
V2 V 0.478 0.219 0.009 1
V3 V 0.502 0.200 0.519 1
V4 V 0.978 0.700 0.773 1
O1 O 0.147 0.560 0.360 1
O2 O 0.170 0.865 0.378 1
O3 O 0.202 0.217 0.915 1
O4 O 0.701 0.703 0.866 1
F1 F 0.163 0.870 0.866 1
F2 F 0.173 0.205 0.412 1
F3 F 0.185 0.548 0.881 1
F4 F 0.304 0.728 0.149 1
F5 F 0.307 0.693 0.656 1
F6 F 0.318 0.349 0.641 1
F7 F 0.324 0.072 0.142 1
F8 F 0.355 0.018 0.618 1
F9 F 0.361 0.401 0.119 1
F10 F 0.659 0.370 0.417 1
F11 F 0.662 0.050 0.917 1
F12 F 0.682 0.044 0.400 1
F13 F 0.685 0.372 0.901 1
F14 F 0.686 0.717 0.367 1
F15 F 0.808 0.226 0.127 1
F16 F 0.819 0.580 0.145 1
F17 F 0.823 0.847 0.640 1
F18 F 0.824 0.191 0.632 1
F19 F 0.855 0.894 0.164 1
F20 F 0.858 0.519 0.663 1
# Spin magnetization ... 4.00 μB/cell
# Mass density ... 2.836 Mg/m³
# Energy ... -5.505 eV/atom
# Formation energy from the elements ... -30.42 eV/f.u.
# Offset from the most stable computed form ... 0.00 eV per formula unit
# V ... 10.7 Å³/atom

***

4.
# Li3V4O3F9 (PBE with a Hubbard U, relaxed)
data_Li3V4O3F9
_chemical_formula_sum 'Li6 V8 O6 F18'
_space_group_name_H-M_alt 'P 1'
_space_group_IT_number 1
_cell_length_a 5.234
_cell_length_b 5.543
_cell_length_c 17.251
_cell_angle_alpha 87.56
_cell_angle_beta 81.90
_cell_angle_gamma 62.16
loop_
_space_group_symop_operation_xyz
'x,y,z'
loop_
_atom_site_label
_atom_site_type_symbol
_atom_site_fract_x
_atom_site_fract_y
_atom_site_fract_z
_atom_site_occupancy
Li1 Li 0.000 0.000 0.000 1
Li2 Li 0.026 0.487 0.494 1
Li3 Li 0.146 0.057 0.644 1
Li4 Li 0.242 0.386 0.127 1
Li5 Li 0.737 0.123 0.372 1
Li6 Li 0.777 0.602 0.873 1
V1 V 0.047 0.064 0.822 1
V2 V 0.084 0.534 0.321 1
V3 V 0.325 0.944 0.448 1
V4 V 0.367 0.404 0.947 1
V5 V 0.551 0.283 0.570 1
V6 V 0.567 0.759 0.071 1
V7 V 0.818 0.649 0.699 1
V8 V 0.833 0.127 0.202 1
O1 O 0.309 0.240 0.388 1
O2 O 0.363 0.586 0.041 1
O3 O 0.365 0.087 0.544 1
O4 O 0.770 0.201 0.916 1
O5 O 0.862 0.347 0.756 1
O6 O 0.870 0.841 0.263 1
F1 F 0.232 0.289 0.859 1
F2 F 0.257 0.456 0.664 1
F3 F 0.259 0.758 0.361 1
F4 F 0.266 0.968 0.162 1
F5 F 0.303 0.617 0.512 1
F6 F 0.318 0.100 0.014 1
F7 F 0.340 0.743 0.884 1
F8 F 0.377 0.874 0.726 1
F9 F 0.388 0.367 0.224 1
F10 F 0.753 0.008 0.100 1
F11 F 0.774 0.712 0.420 1
F12 F 0.777 0.491 0.598 1
F13 F 0.826 0.976 0.635 1
F14 F 0.834 0.462 0.133 1
F15 F 0.864 0.823 0.794 1
F16 F 0.865 0.161 0.474 1
F17 F 0.870 0.322 0.293 1
F18 F 0.892 0.640 0.975 1
# Spin magnetization ... 16.00 μB/cell
# Mass density ... 3.364 Mg/m³
# Energy ... -6.168 eV/atom
# Formation energy from the elements ... -56.07 eV/f.u.
# Offset from the most stable computed form ... 0.47 eV per formula unit
# V ... 11.5 Å³/atom

***

5.
# Li2VO2F (PBE with a Hubbard U, relaxed)
data_Li2VO2F
_chemical_formula_sum 'Li16 V8 O16 F8'
_space_group_name_H-M_alt 'C 1 m 1'
_space_group_IT_number 8
_cell_length_a 10.419
_cell_length_b 6.022
_cell_length_c 8.995
_cell_angle_alpha 90.00
_cell_angle_beta 125.23
_cell_angle_gamma 90.00
loop_
_space_group_symop_operation_xyz
'x,y,z'
'x,-y,z'
'x+1/2,y+1/2,z'
'x+1/2,-y+1/2,z'
loop_
_atom_site_label
_atom_site_type_symbol
_atom_site_fract_x
_atom_site_fract_y
_atom_site_fract_z
_atom_site_occupancy
Li1 Li 0.000 0.000 0.000 1
Li2 Li 0.007 0.500 0.982 1
Li3 Li 0.067 0.232 0.280 1
Li4 Li 0.273 0.274 0.999 1
Li5 Li 0.324 0.000 0.286 1
Li6 Li 0.333 0.500 0.281 1
V1 V 0.167 0.000 0.629 1
V2 V 0.169 0.500 0.641 1
V3 V 0.412 0.245 0.631 1
O1 O 0.011 0.249 0.492 1
O2 O 0.071 0.500 0.784 1
O3 O 0.257 0.000 0.480 1
O4 O 0.264 0.500 0.493 1
O5 O 0.326 0.243 0.784 1
O6 O 0.418 0.500 0.140 1
F1 F 0.083 0.000 0.801 1
F2 F 0.166 0.249 0.134 1
F3 F 0.416 0.000 0.136 1
# Spin magnetization ... 16.00 μB/cell
# Mass density ... 3.338 Mg/m³
# Energy ... -6.153 eV/atom
# Formation energy from the elements ... -15.74 eV/f.u.
# Offset from the most stable computed form ... 0.53 eV per formula unit
# V ... 9.6 Å³/atom

***

6.
# Li2VO2F (PBE with a Hubbard U, relaxed)
data_Li2VO2F
_chemical_formula_sum 'Li4 V2 O4 F2'
_space_group_name_H-M_alt 'P 1 m 1'
_space_group_IT_number 6
_cell_length_a 4.218
_cell_length_b 2.958
_cell_length_c 8.896
_cell_angle_alpha 90.00
_cell_angle_beta 90.06
_cell_angle_gamma 90.00
loop_
_space_group_symop_operation_xyz
'x,y,z'
'x,-y,z'
loop_
_atom_site_label
_atom_site_type_symbol
_atom_site_fract_x
_atom_site_fract_y
_atom_site_fract_z
_atom_site_occupancy
Li1 Li 0.000 0.000 0.000 1
Li2 Li 0.000 0.000 0.314 1
Li3 Li 0.499 0.500 0.167 1
Li4 Li 0.499 0.500 0.852 1
V1 V 0.500 0.500 0.490 1
V2 V 0.999 0.000 0.676 1
O1 O 0.000 0.500 0.513 1
O2 O 0.001 0.500 0.825 1
O3 O 0.498 0.000 0.341 1
O4 O 0.500 0.000 0.654 1
F1 F 0.500 0.000 0.005 1
F2 F 0.999 0.500 0.161 1
# Spin magnetization ... 0.00 μB/cell
# Mass density ... 3.465 Mg/m³
# Energy ... -6.222 eV/atom
# Formation energy from the elements ... -16.15 eV/f.u.
# Offset from the most stable computed form ... 0.12 eV per formula unit
# V ... 9.3 Å³/atom

***

- What is the V in the fifth record?
  9.6 Å³/atom

***

- Among the records above, which one has the lowest formation energy from the elements?
  Li3V4O3F9

***

Repeat the third record exactly.
# Li3VOF5 (PBE with a Hubbard U, relaxed)
data_Li3VOF5
_chemical_formula_sum 'Li12 V4 O4 F20'
_space_group_name_H-M_alt 'P 1'
_space_group_IT_number 1
_cell_length_a 5.049
_cell_length_b 8.613
_cell_length_c 9.844
_cell_angle_alpha 90.18
_cell_angle_beta 90.17
_cell_angle_gamma 90.12
loop_
_space_group_symop_operation_xyz
'x,y,z'
loop_
_atom_site_label
_atom_site_type_symbol
_atom_site_fract_x
_atom_site_fract_y
_atom_site_fract_z
_atom_site_occupancy
Li1 Li 0.000 0.000 0.000 1
Li2 Li 0.000 0.007 0.538 1
Li3 Li 0.006 0.414 0.497 1
Li4 Li 0.489 0.810 0.519 1
Li5 Li 0.497 0.509 0.743 1
Li6 Li 0.502 0.609 0.019 1
Li7 Li 0.502 0.916 0.786 1
Li8 Li 0.509 0.915 0.242 1
Li9 Li 0.515 0.501 0.282 1
Li10 Li 0.990 0.106 0.263 1
Li11 Li 0.994 0.415 0.043 1
Li12 Li 0.996 0.311 0.766 1
V1 V 0.032 0.719 0.284 1
V2 V 0.478 0.219 0.009 1
V3 V 0.502 0.200 0.519 1
V4 V 0.978 0.700 0.773 1
O1 O 0.147 0.560 0.360 1
O2 O 0.170 0.865 0.378 1
O3 O 0.202 0.217 0.915 1
O4 O 0.701 0.703 0.866 1
F1 F 0.163 0.870 0.866 1
F2 F 0.173 0.205 0.412 1
F3 F 0.185 0.548 0.881 1
F4 F 0.304 0.728 0.149 1
F5 F 0.307 0.693 0.656 1
F6 F 0.318 0.349 0.641 1
F7 F 0.324 0.072 0.142 1
F8 F 0.355 0.018 0.618 1
F9 F 0.361 0.401 0.119 1
F10 F 0.659 0.370 0.417 1
F11 F 0.662 0.050 0.917 1
F12 F 0.682 0.044 0.400 1
F13 F 0.685 0.372 0.901 1
F14 F 0.686 0.717 0.367 1
F15 F 0.808 0.226 0.127 1
F16 F 0.819 0.580 0.145 1
F17 F 0.823 0.847 0.640 1
F18 F 0.824 0.191 0.632 1
F19 F 0.855 0.894 0.164 1
F20 F 0.858 0.519 0.663 1
# Spin magnetization ... 4.00 μB/cell
# Mass density ... 2.836 Mg/m³
# Energy ... -5.505 eV/atom
# Formation energy from the elements ... -30.42 eV/f.u.
# Offset from the most stable computed form ... 0.00 eV per formula unit
# V ... 10.7 Å³/atom

***

- Which of these has the highest offset from the most stable computed form?
  number 5